1.
Mg14TiSiO16 (PBE-GGA, relaxed); energy of formation from the pure elements = -2.83 eV/atom; space-group type = Pmmm, No. 47
1.0
-1.171 -5.804 -6.297
8.321 -2.191 0.472
-0.950 -2.979 2.923
O Mg Si Ti
16 14 1 1
Direct
0.000 0.500 0.500
0.248 0.250 0.500
0.248 0.750 0.500
0.000 0.000 0.500
0.737 0.500 0.000
0.000 0.752 0.000
0.741 0.000 0.000
0.500 0.500 0.500
0.752 0.250 0.500
0.263 0.500 0.000
0.000 0.248 0.000
0.752 0.750 0.500
0.259 0.000 0.000
0.500 0.751 0.000
0.500 0.249 0.000
0.500 0.000 0.500
0.252 0.249 0.000
0.500 0.750 0.500
0.748 0.751 0.000
0.000 0.250 0.500
0.253 0.500 0.500
0.748 0.249 0.000
0.747 0.000 0.500
0.500 0.500 0.000
0.253 0.000 0.500
0.000 0.750 0.500
0.500 0.250 0.500
0.747 0.500 0.500
0.500 0.000 0.000
0.252 0.751 0.000
0.000 0.500 0.000
0.000 0.000 0.000

2.
MgTiSi2O6 (PBE-GGA, relaxed); energy of formation from the pure elements = -3.03 eV/atom; distance to the lowest polymorph of the same formula = 0.0000 eV per atom; space-group type = C2/c, No. 15
1.0
4.597 4.969 0.000
-4.597 4.969 0.000
0.000 1.502 5.000
O Si Ti Mg
12 4 2 2
Direct
0.025 0.230 0.841
0.377 0.856 0.870
0.623 0.144 0.130
0.856 0.377 0.370
0.617 0.682 0.495
0.975 0.770 0.159
0.383 0.318 0.505
0.318 0.383 0.005
0.770 0.975 0.659
0.682 0.617 0.995
0.144 0.623 0.630
0.230 0.025 0.341
0.208 0.392 0.746
0.792 0.608 0.254
0.608 0.792 0.754
0.392 0.208 0.246
0.918 0.082 0.250
0.082 0.918 0.750
0.742 0.258 0.750
0.258 0.742 0.250

3.
Mg30TiSiO32 (PBE-GGA, relaxed); energy of formation from the pure elements = -2.94 eV/atom; space-group type = P4/mmm, No. 123
1.0
8.553 0.000 0.000
0.000 8.553 0.000
0.000 0.000 8.573
O Mg Ti Si
32 30 1 1
Direct
0.251 0.000 0.500
0.000 0.749 0.500
0.500 0.500 0.740
0.500 0.000 0.252
0.250 0.250 0.751
0.000 0.000 0.260
0.750 0.250 0.249
0.000 0.747 0.000
0.250 0.250 0.249
0.751 0.500 0.500
0.750 0.750 0.751
0.250 0.750 0.249
0.250 0.750 0.751
0.000 0.251 0.500
0.500 0.500 0.260
0.500 0.000 0.748
0.240 0.500 0.000
0.500 0.751 0.500
0.000 0.500 0.748
0.000 0.500 0.252
0.000 0.000 0.740
0.000 0.253 0.000
0.747 0.000 0.000
0.749 0.000 0.500
0.249 0.500 0.500
0.750 0.750 0.249
0.253 0.000 0.000
0.760 0.500 0.000
0.500 0.249 0.500
0.500 0.760 0.000
0.750 0.250 0.751
0.500 0.240 0.000
0.750 0.250 0.000
0.250 0.000 0.251
0.000 0.750 0.749
0.500 0.000 0.000
0.250 0.750 0.000
0.500 0.248 0.252
0.500 0.500 0.500
0.500 0.000 0.500
0.000 0.000 0.500
0.248 0.500 0.252
0.000 0.500 0.500
0.500 0.752 0.252
0.750 0.750 0.000
0.750 0.000 0.749
0.752 0.500 0.748
0.750 0.750 0.500
0.500 0.752 0.748
0.248 0.500 0.748
0.000 0.750 0.251
0.250 0.750 0.500
0.752 0.500 0.252
0.750 0.000 0.251
0.250 0.000 0.749
0.750 0.250 0.500
0.000 0.250 0.749
0.500 0.248 0.748
0.250 0.250 0.000
0.000 0.500 0.000
0.250 0.250 0.500
0.000 0.250 0.251
0.000 0.000 0.000
0.500 0.500 0.000

4.
Mg6TiSiO8 (PBE-GGA, relaxed); energy of formation from the pure elements = -2.59 eV/atom; distance to the lowest polymorph of the same formula = 0.0334 eV per atom; space-group type = P4/mmm, No. 123
1.0
8.749 0.000 0.000
0.000 4.314 0.000
0.000 0.000 4.314
O Mg Ti Si
8 6 1 1
Direct
0.749 0.500 0.500
0.000 0.500 0.000
0.000 0.000 0.500
0.754 0.000 0.000
0.500 0.500 0.000
0.500 0.000 0.500
0.246 0.000 0.000
0.251 0.500 0.500
0.751 0.500 0.000
0.249 0.500 0.000
0.500 0.500 0.500
0.249 0.000 0.500
0.751 0.000 0.500
0.000 0.500 0.500
0.000 0.000 0.000
0.500 0.000 0.000

5.
MgTiSi4O10 (PBE-GGA, relaxed); energy of formation from the pure elements = -3.06 eV/atom; space-group type = P4/ncc, No. 130
1.0
7.338 0.000 0.000
0.000 7.338 0.000
0.000 0.000 15.021
Si O Ti Mg
16 40 4 4
Direct
0.490 0.591 0.646
0.591 0.490 0.146
0.010 0.591 0.146
0.510 0.409 0.354
0.490 0.909 0.146
0.591 0.010 0.646
0.990 0.409 0.854
0.990 0.091 0.354
0.909 0.010 0.146
0.010 0.909 0.646
0.091 0.990 0.854
0.091 0.510 0.354
0.510 0.091 0.854
0.909 0.490 0.646
0.409 0.990 0.354
0.409 0.510 0.854
0.310 0.000 0.874
0.980 0.338 0.575
0.940 0.440 0.750
0.500 0.310 0.874
0.810 0.000 0.626
0.338 0.980 0.075
0.190 0.500 0.874
0.060 0.560 0.250
0.690 0.000 0.126
0.560 0.060 0.750
0.940 0.060 0.250
0.000 0.310 0.374
0.838 0.020 0.425
0.662 0.480 0.425
0.480 0.662 0.925
0.520 0.338 0.075
0.500 0.690 0.126
0.162 0.980 0.575
0.162 0.520 0.075
0.000 0.190 0.874
0.838 0.480 0.925
0.190 0.000 0.374
0.500 0.190 0.374
0.000 0.810 0.126
0.020 0.838 0.925
0.000 0.690 0.626
0.980 0.162 0.075
0.338 0.520 0.575
0.060 0.940 0.750
0.500 0.810 0.626
0.440 0.560 0.750
0.560 0.440 0.250
0.310 0.500 0.374
0.440 0.940 0.250
0.520 0.162 0.575
0.480 0.838 0.425
0.662 0.020 0.925
0.810 0.500 0.126
0.690 0.500 0.626
0.020 0.662 0.425
0.750 0.750 0.930
0.250 0.250 0.570
0.750 0.750 0.430
0.250 0.250 0.070
0.750 0.250 0.500
0.250 0.750 0.500
0.250 0.750 0.000
0.750 0.250 0.000

6.
MgTiSi2O6 (PBE-GGA, relaxed); energy of formation from the pure elements = -3.02 eV/atom; distance to the lowest polymorph of the same formula = 0.0103 eV per atom; space-group type = Pbca, No. 61
1.0
5.312 0.000 0.000
0.000 9.044 0.000
0.000 0.000 18.548
O Si Mg Ti
48 16 8 8
Direct
0.095 0.297 0.552
0.292 0.664 0.064
0.952 0.001 0.190
0.047 0.336 0.818
0.548 0.001 0.690
0.208 0.164 0.936
0.213 0.013 0.565
0.171 0.772 0.301
0.048 0.499 0.690
0.829 0.228 0.699
0.405 0.797 0.448
0.405 0.297 0.052
0.547 0.664 0.682
0.708 0.836 0.564
0.287 0.013 0.065
0.713 0.987 0.935
0.787 0.987 0.435
0.047 0.836 0.682
0.595 0.703 0.948
0.595 0.203 0.552
0.953 0.664 0.182
0.453 0.336 0.318
0.547 0.164 0.818
0.548 0.501 0.810
0.905 0.703 0.448
0.792 0.336 0.436
0.787 0.487 0.065
0.792 0.836 0.064
0.671 0.228 0.199
0.452 0.499 0.190
0.208 0.664 0.564
0.453 0.836 0.182
0.905 0.203 0.052
0.329 0.272 0.699
0.829 0.728 0.801
0.292 0.164 0.436
0.329 0.772 0.801
0.671 0.728 0.301
0.048 0.999 0.810
0.287 0.513 0.435
0.171 0.272 0.199
0.213 0.513 0.935
0.095 0.797 0.948
0.452 0.999 0.310
0.953 0.164 0.318
0.952 0.501 0.310
0.708 0.336 0.936
0.713 0.487 0.565
0.298 0.664 0.975
0.947 0.160 0.230
0.553 0.160 0.730
0.447 0.340 0.230
0.053 0.840 0.770
0.702 0.836 0.475
0.798 0.336 0.525
0.947 0.660 0.270
0.447 0.840 0.270
0.702 0.336 0.025
0.553 0.660 0.770
0.202 0.164 0.025
0.202 0.664 0.475
0.298 0.164 0.525
0.053 0.340 0.730
0.798 0.836 0.975
0.377 0.345 0.875
0.623 0.655 0.125
0.377 0.845 0.625
0.123 0.845 0.125
0.123 0.345 0.375
0.877 0.155 0.875
0.877 0.655 0.625
0.623 0.155 0.375
0.134 0.978 0.379
0.866 0.522 0.879
0.134 0.478 0.121
0.634 0.522 0.379
0.366 0.978 0.879
0.366 0.478 0.621
0.866 0.022 0.621
0.634 0.022 0.121

7.
Mg14TiSiO16 (PBE-GGA, relaxed); energy of formation from the pure elements = -2.83 eV/atom; space-group type = P4/mmm, No. 123
1.0
8.617 0.000 0.000
0.000 8.617 0.000
0.000 0.000 4.290
O Mg Si Ti
16 14 1 1
Direct
0.000 0.744 0.000
0.000 0.256 0.000
0.000 0.500 0.500
0.744 0.000 0.000
0.000 0.000 0.500
0.250 0.750 0.500
0.256 0.000 0.000
0.500 0.761 0.000
0.500 0.239 0.000
0.750 0.750 0.500
0.750 0.250 0.500
0.761 0.500 0.000
0.500 0.500 0.500
0.250 0.250 0.500
0.239 0.500 0.000
0.500 0.000 0.500
0.248 0.500 0.500
0.751 0.751 0.000
0.000 0.747 0.500
0.500 0.752 0.500
0.000 0.500 0.000
0.751 0.249 0.000
0.747 0.000 0.500
0.500 0.248 0.500
0.752 0.500 0.500
0.000 0.253 0.500
0.500 0.000 0.000
0.249 0.751 0.000
0.253 0.000 0.500
0.249 0.249 0.000
0.500 0.500 0.000
0.000 0.000 0.000

8.
MgTi2Si4O12 (PBE-GGA, relaxed); energy of formation from the pure elements = -3.20 eV/atom; distance to the lowest polymorph of the same formula = 0.0000 eV per atom; space-group type = C2, No. 5
1.0
-0.526 3.914 -5.332
-5.770 -3.191 -0.751
-3.274 2.162 3.646
O Si Ti Mg
12 4 2 1
Direct
0.379 0.102 0.711
0.024 0.786 0.666
0.633 0.870 0.343
0.666 0.373 0.919
0.958 0.203 0.346
0.638 0.350 0.433
0.350 0.638 0.067
0.870 0.633 0.157
0.786 0.024 0.834
0.203 0.958 0.154
0.102 0.379 0.789
0.373 0.666 0.581
0.611 0.206 0.722
0.387 0.792 0.271
0.206 0.611 0.778
0.792 0.387 0.229
0.101 0.101 0.750
0.919 0.919 0.250
0.723 0.723 0.750

9.
Mg30TiSiO32 (PBE-GGA, relaxed); energy of formation from the pure elements = -2.94 eV/atom; space-group type = P4/mmm, No. 123
1.0
8.556 0.000 0.000
0.000 8.556 0.000
0.000 0.000 8.574
O Mg Si Ti
32 30 1 1
Direct
0.000 0.500 0.752
0.000 0.253 0.000
0.500 0.750 0.000
0.000 0.747 0.000
0.249 0.751 0.250
0.750 0.500 0.000
0.748 0.500 0.500
0.000 0.262 0.500
0.000 0.738 0.500
0.000 0.000 0.254
0.250 0.500 0.000
0.500 0.000 0.248
0.751 0.249 0.250
0.500 0.250 0.000
0.262 0.000 0.500
0.000 0.500 0.248
0.500 0.748 0.500
0.252 0.500 0.500
0.500 0.500 0.751
0.500 0.252 0.500
0.500 0.500 0.249
0.000 0.000 0.746
0.751 0.249 0.750
0.249 0.249 0.250
0.253 0.000 0.000
0.500 0.000 0.752
0.751 0.751 0.250
0.747 0.000 0.000
0.249 0.249 0.750
0.751 0.751 0.750
0.249 0.751 0.750
0.738 0.000 0.500
0.500 0.000 0.500
0.500 0.500 0.000
0.500 0.750 0.251
0.250 0.500 0.749
0.500 0.500 0.500
0.500 0.250 0.251
0.000 0.749 0.750
0.750 0.500 0.251
0.000 0.251 0.750
0.500 0.250 0.749
0.252 0.252 0.000
0.500 0.750 0.749
0.749 0.000 0.750
0.251 0.000 0.750
0.748 0.252 0.000
0.000 0.749 0.250
0.250 0.500 0.251
0.749 0.749 0.500
0.748 0.748 0.000
0.251 0.251 0.500
0.000 0.500 0.000
0.000 0.251 0.250
0.251 0.749 0.500
0.750 0.500 0.749
0.252 0.748 0.000
0.749 0.000 0.250
0.000 0.500 0.500
0.749 0.251 0.500
0.251 0.000 0.250
0.500 0.000 0.000
0.000 0.000 0.500
0.000 0.000 0.000